Computed, not measured: a relaxed HfFeN2 crystal at the PBE level of DFT.

Cell and atoms, written as CIF:
```
data_HfFeN2
_cell_length_a 3.1022
_cell_length_b 3.1022
_cell_length_c 9.3381
_cell_angle_alpha 90.00
_cell_angle_beta 90.00
_cell_angle_gamma 120.00
_symmetry_space_group_name_H-M 'P 63/m m c'
_symmetry_Int_Tables_number 194
_symmetry_space_group_name_Hall '-P 6c 2c'
loop_
_atom_site_label
_atom_site_fract_x
_atom_site_fract_y
_atom_site_fract_z
Hf1 0.3333 0.6667 0.2500
Fe1 0.0000 0.0000 0.0000
N1 0.3333 0.6667 0.6069
```

Summary:
- Mass density: 11.20 Mg/m³
- E_tot: -37.769 eV/f.u.